No. 1
Entry from Materials Project: a relaxed ErBrO crystal (r2SCAN).

Results
**Calculated formation energy**: -3276.2 meV/atom
**Total magnetization**: 0.0000 μB/atom
**Crystal system**: tetragonal

Unit cell a=3.7843 b=3.7843 c=8.5378 alpha=90.00 beta=90.00 gamma=90.00
Last column: nearest neighbours and their distance in Å.
Space group P4/nmm (No. 129, origin choice 2)
One atom of each set of equivalent atoms:
Er: 0.2500 0.2500 0.1301 [2 per cell]  4 O 2.19
Br: 0.2500 0.2500 0.6763 [2 per cell]  4 Er 3.14, 4 O 3.35
O: 0.2500 0.7500 0.0000 [2 per cell]  4 Er 2.19

---

No. 2
Entry from Materials Project: a relaxed Er4OsBr4 crystal (r2SCAN).

Results
**Calculated formation energy**: -1493.2 meV/atom
**Total magnetization**: 0.0000 μB/atom
**Crystal system**: monoclinic

Unit cell a=12.5034 b=12.3495 c=6.5070 alpha=90.00 beta=90.78 gamma=90.00
Last column: nearest neighbours and their distance in Å.
Space group C2/c (No. 15)
One atom of each set of equivalent atoms:
Er: 0.0750 0.1744 0.4889 [8 per cell]  2 Os 2.86, 4 Br 2.94-3.11
Er: 0.1729 0.0753 0.0095 [8 per cell]  2 Os 2.86-2.87, 4 Br 2.93-3.09
Os: 0.0000 0.0057 0.7500 [4 per cell]  8 Er 2.86-2.87
Br: 0.1189 0.3029 0.0941 [8 per cell]  4 Er 2.94-3.09
Br: 0.1956 0.3877 0.5964 [8 per cell]  4 Er 2.93-3.11

---

No. 3
Entry from Materials Project: a relaxed Eu2H3Br crystal (r2SCAN).

Results
**Calculated formation energy**: -1132.9 meV/atom
**Total magnetization**: 2.3333 μB/atom
**Crystal system**: trigonal

Unit cell a=4.0692 b=4.0692 c=7.0935 alpha=90.00 beta=90.00 gamma=120.00
Last column: nearest neighbours and their distance in Å.
Space group P-3m1 (No. 164)
One atom of each set of equivalent atoms:
Eu: 0.3333 0.6667 0.3098 [2 per cell]  4 H 2.37-2.39
H: 0.0000 0.0000 0.5000 [1 per cell]  6 H 2.57, 6 Eu 2.71
H: 0.3333 0.6667 0.6471 [2 per cell]  4 Eu 2.37-2.39, 3 H 2.57
Br: 0.0000 0.0000 0.0000 [1 per cell]  6 Eu 3.22, 8 H 3.43-3.55

---

No. 4
Entry from Materials Project: a relaxed Eu4Br6O crystal (r2SCAN).

Results
**Calculated formation energy**: -2517.5 meV/atom
**Total magnetization**: 2.5455 μB/atom
**Crystal system**: hexagonal

Unit cell a=9.8195 b=9.8195 c=7.5055 alpha=90.00 beta=90.00 gamma=120.00
Last column: nearest neighbours and their distance in Å.
Space group P6_3mc (No. 186)
One atom of each set of equivalent atoms:
Eu: 0.2006 0.4012 0.0000 [6 per cell]  1 O 2.38
Eu: 0.3333 0.6667 0.4140 [2 per cell]  1 O 2.35
Br: 0.0680 0.5340 0.7053 [6 per cell]  5 Eu 3.14-3.38, 1 O 3.50
Br: 0.1389 0.2778 0.3852 [6 per cell]  4 Eu 3.08-3.31
O: 0.3333 0.6667 0.1006 [2 per cell]  4 Eu 2.35-2.38

---

No. 5
Entry from Materials Project: a relaxed Eu3BrO4 crystal (r2SCAN).

Results
**Calculated formation energy**: -2880.2 meV/atom
**Total magnetization**: 2.2500 μB/atom
**Crystal system**: orthorhombic

Unit cell a=4.1367 b=12.1560 c=11.7890 alpha=90.00 beta=90.00 gamma=90.00
Last column: nearest neighbours and their distance in Å.
Space group Cmcm (No. 63)
One atom of each set of equivalent atoms:
Eu: 0.0000 0.1223 0.2500 [4 per cell]  5 O 2.27-2.33
Eu: 0.0000 0.1771 0.5993 [8 per cell]  5 O 2.24-2.34
Br: 0.0000 0.5000 0.0000 [4 per cell]  4 Eu 3.21, 2 O 3.41
O: 0.0000 0.0649 0.7500 [4 per cell]  3 Eu 2.24-2.28
O: 0.0000 0.2327 0.0880 [8 per cell]  4 Eu 2.31-2.34
O: 0.0000 0.3015 0.7500 [4 per cell]  4 Eu 2.27-2.33

---

No. 6
Entry from Materials Project: a relaxed Eu2PBr crystal (r2SCAN).

Results
**Calculated formation energy**: -1815.6 meV/atom
**Total magnetization**: 3.5000 μB/atom
**Crystal system**: trigonal

Unit cell a=4.3326 b=4.3326 c=21.6166 alpha=90.00 beta=90.00 gamma=120.00
Last column: nearest neighbours and their distance in Å.
Space group R-3m (No. 166, hexagonal axes)
One atom of each set of equivalent atoms:
Eu: 0.0000 0.0000 0.2378 [6 per cell]  3 P 2.94, 3 Br 3.24
P: 0.0000 0.0000 0.5000 [3 per cell]  6 Eu 2.94
Br: 0.0000 0.0000 0.0000 [3 per cell]  6 Eu 3.24

---

No. 7
Entry from Materials Project: a relaxed BrF3 crystal (r2SCAN).

Results
**Calculated formation energy**: -890.5 meV/atom
**Total magnetization**: 0.0000 μB/atom
**Crystal system**: orthorhombic

Unit cell a=5.3105 b=7.5691 c=6.2237 alpha=90.00 beta=90.00 gamma=90.00
Last column: nearest neighbours and their distance in Å.
Space group Cmc2_1 (No. 36)
One atom of each set of equivalent atoms:
Br: 0.0000 0.1612 0.0000 [4 per cell]  2 F 1.77-1.80
F: 0.0000 0.0710 0.6666 [4 per cell]  2 Br 2.04-2.18
F: 0.0000 0.2649 0.2557 [4 per cell]  1 Br 1.77
F: 0.0000 0.3760 0.8772 [4 per cell]  1 Br 1.80

---

No. 8
Entry from Materials Project: a relaxed GeBr2F10 crystal (r2SCAN).

Results
**Calculated formation energy**: -1538.3 meV/atom
**Total magnetization**: 0.0000 μB/atom
**Crystal system**: monoclinic

Unit cell a=5.0058 b=13.3066 c=6.4179 alpha=90.00 beta=115.33 gamma=90.00
Last column: nearest neighbours and their distance in Å.
Space group P2_1/c (No. 14)
One atom of each set of equivalent atoms:
Ge: 0.0000 0.0000 0.0000 [2 per cell]  6 F 1.75-1.85
Br: 0.3203 0.1359 0.6648 [4 per cell]  2 F 1.76
F: 0.0027 0.1773 0.4266 [4 per cell]  1 Br 1.76
F: 0.0112 0.0358 0.7254 [4 per cell]  1 Ge 1.85
F: 0.2716 0.6007 0.5402 [4 per cell]  1 Ge 1.85
F: 0.2879 0.0835 0.1525 [4 per cell]  1 Ge 1.75
F: 0.4556 0.7172 0.9075 [4 per cell]  1 Br 1.76

---

No. 9
Entry from Materials Project: a relaxed Nb12Br17F13 crystal (r2SCAN).

Results
**Calculated formation energy**: -1887.7 meV/atom
**Total magnetization**: 0.0476 μB/atom
**Crystal system**: triclinic

Unit cell a=9.7660 b=9.8146 c=13.1788 alpha=68.62 beta=68.97 gamma=60.39
Last column: nearest neighbours and their distance in Å.
Space group P1 (No. 1)
One atom of each set of equivalent atoms:
Nb: 0.0000 0.0000 0.0000 [1 per cell]  2 F 2.08-2.09
Nb: 0.0029 0.4315 0.7987 [1 per cell]  2 F 2.08
Nb: 0.1202 0.2137 0.0010 [1 per cell]  2 F 2.08
Nb: 0.2166 0.0998 0.7984 [1 per cell]  2 F 2.08-2.09
Nb: 0.2840 0.7178 0.5014 [1 per cell]  2 F 2.08-2.09
Nb: 0.3836 0.9332 0.2990 [1 per cell]  2 F 2.09-2.10
Nb: 0.4994 0.8357 0.5023 [1 per cell]  2 F 2.08-2.10
Nb: 0.5049 0.6008 0.3019 [1 per cell]  3 F 2.07-2.09
Nb: 0.6160 0.5066 0.4997 [1 per cell]  3 F 2.07-2.09
Nb: 0.7164 0.7239 0.2998 [1 per cell]  2 F 2.08-2.09
Nb: 0.7873 0.3306 0.0013 [1 per cell]  2 F 2.08
Nb: 0.8831 0.2180 0.7971 [1 per cell]  2 F 2.08-2.09
Br: 0.0026 0.7141 0.6496 [1 per cell]  2 Nb 2.75
Br: 0.0848 0.9845 0.3980 [1 per cell]  2 Nb 2.60
Br: 0.1492 0.4841 0.9007 [1 per cell]  2 Nb 2.59-2.61
Br: 0.2403 0.5613 0.4024 [1 per cell]  2 Nb 2.60
Br: 0.2532 0.2161 0.1502 [1 per cell]  2 Nb 2.73-2.74
Br: 0.2697 0.8017 0.9001 [1 per cell]  2 Nb 2.60
Br: 0.3540 0.1326 0.4010 [1 per cell]  2 Nb 2.59-2.61
Br: 0.4175 0.0702 0.9004 [1 per cell]  2 Nb 2.59-2.61
Br: 0.5008 0.9676 0.6523 [1 per cell]  2 Nb 2.74
Br: 0.5150 0.4472 0.1605 [1 per cell]  2 Nb 2.74
Br: 0.5856 0.3613 0.8994 [1 per cell]  2 Nb 2.60-2.61
Br: 0.7330 0.6288 0.9007 [1 per cell]  2 Nb 2.60-2.61
Br: 0.7490 0.2184 0.6438 [1 per cell]  2 Nb 2.74-2.77
Br: 0.7708 0.8650 0.4035 [1 per cell]  2 Nb 2.59-2.61
Br: 0.8542 0.9477 0.8969 [1 per cell]  2 Nb 2.60
Br: 0.9139 0.4475 0.3973 [1 per cell]  2 Nb 2.59-2.61
Br: 0.9993 0.7204 0.1508 [1 per cell]  2 Nb 2.74-2.75
F: 0.1000 0.1081 0.6900 [1 per cell]  2 Nb 2.08-2.09
F: 0.1128 0.9994 0.1080 [1 per cell]  2 Nb 2.08-2.09
F: 0.2167 0.3174 0.6916 [1 per cell]  2 Nb 2.08-2.09
F: 0.2855 0.8269 0.6099 [1 per cell]  2 Nb 2.08
F: 0.3929 0.8130 0.1922 [1 per cell]  2 Nb 2.08-2.10
F: 0.4017 0.5009 0.6065 [1 per cell]  2 Nb 2.08-2.09
F: 0.6003 0.9354 0.1911 [1 per cell]  2 Nb 2.08-2.09
F: 0.6122 0.6160 0.6092 [1 per cell]  2 Nb 2.07-2.10
F: 0.6228 0.3759 0.4015 [1 per cell]  2 Nb 2.09
F: 0.7184 0.6061 0.1948 [1 per cell]  2 Nb 2.07-2.09
F: 0.7869 0.1129 0.1072 [1 per cell]  2 Nb 2.08
F: 0.8907 0.4322 0.6904 [1 per cell]  2 Nb 2.08
F: 0.9045 0.3237 0.1085 [1 per cell]  2 Nb 2.08

---

No. 10
Entry from Materials Project: a relaxed Pb3BrF5 crystal (r2SCAN).

Results
**Calculated formation energy**: -2267.1 meV/atom
**Total magnetization**: 0.0000 μB/atom
**Crystal system**: monoclinic

Unit cell a=7.3064 b=4.3453 c=11.2004 alpha=90.00 beta=104.32 gamma=90.00
Last column: nearest neighbours and their distance in Å.
Space group Cm (No. 8)
One atom of each set of equivalent atoms:
Pb: 0.0000 0.0000 0.0000 [2 per cell]  4 F 2.35-2.55
Pb: 0.0342 0.5000 0.5850 [2 per cell]  4 F 2.30-2.56
Pb: 0.2196 0.5000 0.2619 [2 per cell]  5 F 2.41-2.62
Br: 0.2636 0.0000 0.7693 [2 per cell]  5 Pb 3.17-3.49, 1 F 3.53
F: 0.0747 0.0000 0.2194 [2 per cell]  3 Pb 2.38-2.41
F: 0.1889 0.5000 0.0236 [2 per cell]  4 Pb 2.35-2.62, 1 F 2.52
F: 0.3461 0.5000 0.5300 [2 per cell]  3 Pb 2.50-2.56
F: 0.3985 0.0000 0.1066 [2 per cell]  5 F 2.52-2.69, 3 Pb 2.55-2.67
F: 0.4635 0.0000 0.3731 [2 per cell]  2 Pb 2.30-2.49

---

No. 11
Entry from Materials Project: a relaxed Pb7Br2F12 crystal (r2SCAN).

Results
**Calculated formation energy**: -2352.9 meV/atom
**Total magnetization**: 0.0000 μB/atom
**Crystal system**: hexagonal

Unit cell a=10.3392 b=10.3392 c=4.0057 alpha=90.00 beta=90.00 gamma=120.00
Last column: nearest neighbours and their distance in Å.
Space group P-6 (No. 174)
One atom of each set of equivalent atoms:
Pb: 0.0000 0.0000 0.0000 [1 per cell]  9 F 2.48-2.73
Pb: 0.1008 0.4100 0.0000 [3 per cell]  4 F 2.41-2.45
Pb: 0.3934 0.2871 0.5000 [3 per cell]  7 F 2.45-2.74
Br: 0.3333 0.6667 0.5000 [1 per cell]  6 Pb 3.23, 9 F 3.37-3.48
Br: 0.6667 0.3333 0.0000 [1 per cell]  6 Pb 3.30, 12 F 3.44-3.56
F: 0.0499 0.6172 0.0000 [3 per cell]  3 Pb 2.45-2.54
F: 0.0797 0.8739 0.5000 [3 per cell]  3 Pb 2.45-2.73
F: 0.2761 0.1159 0.0000 [3 per cell]  4 Pb 2.43-2.54
F: 0.4259 0.0399 0.5000 [3 per cell]  3 Pb 2.41-2.69

---

No. 12
Entry from Materials Project: a relaxed RbBrF4 crystal (r2SCAN).

Results
**Calculated formation energy**: -1626.7 meV/atom
**Total magnetization**: 0.0000 μB/atom
**Crystal system**: tetragonal

Unit cell a=6.9620 b=6.9620 c=9.7562 alpha=90.00 beta=90.00 gamma=90.00
Last column: nearest neighbours and their distance in Å.
Space group I4/mcm (No. 140)
One atom of each set of equivalent atoms:
Rb: 0.0000 0.0000 0.0000 [4 per cell]  8 F 2.97
Br: 0.0000 0.5000 0.0000 [4 per cell]  4 F 1.91
F: 0.1435 0.3565 0.1322 [16 per cell]  1 Br 1.91